Material: GaN
Method: DFT, GGA-PBE
State: relaxed

Structure (POSCAR):
```
GaN
1.0
-7.771 -2.518 7.388
-6.735 -2.375 -8.639
3.514 -11.571 -0.453
N Ga
50 50
Cartesian
-9.174 -7.326 2.272
-6.252 -12.406 -3.869
-1.795 -8.157 1.603
-8.824 -6.384 -2.859
-5.910 -13.414 1.093
-6.164 -2.393 1.055
-1.470 -11.956 -1.790
-2.788 -10.673 1.564
-5.026 -11.249 -7.209
-13.248 -5.155 -1.917
-3.643 -2.758 -2.164
-4.267 -12.532 -1.489
-4.508 -8.872 0.181
0.491 -12.049 2.093
-4.465 -3.042 3.751
-4.160 -11.489 -1.114
1.012 -9.727 0.824
-2.131 -5.685 -2.354
-11.063 -7.290 -0.387
-8.413 -4.561 3.778
-1.199 -4.742 0.460
-7.792 -4.625 2.572
0.543 -7.277 -0.574
-8.334 -4.595 -0.243
-3.360 -2.682 -0.945
-0.758 -8.250 -3.442
-5.471 -4.677 -1.160
-10.853 -13.592 -1.991
-6.366 -9.324 -2.407
-7.348 -10.673 3.858
-2.141 -11.305 2.217
-7.146 -7.256 4.820
-3.081 -1.312 1.803
-0.621 -11.808 -1.053
-8.090 -12.069 -1.382
-9.576 -12.755 1.119
-5.234 -9.100 1.024
-4.784 -10.157 3.745
-8.649 -10.123 -4.158
-2.550 -13.334 -6.843
-2.560 -5.224 2.952
-2.811 -7.666 1.675
-6.289 -7.137 -4.712
-4.722 -9.033 3.810
-10.877 -5.120 2.022
-7.933 -9.967 0.762
-9.078 -11.125 -3.845
-3.765 -13.329 3.748
-4.021 -8.042 -6.769
-5.092 -4.048 4.279
-5.556 -9.283 -7.406
-5.988 -11.216 5.898
-5.368 -3.682 -2.841
-2.876 -13.402 -4.860
-2.216 -9.389 -2.367
-4.719 -8.424 -4.926
-4.094 -5.813 4.060
1.638 -11.349 -1.363
-3.869 -5.995 -1.319
-9.288 -4.539 -1.999
-9.715 -14.825 -3.152
-5.782 -10.571 -3.924
-7.642 -10.165 -1.181
-6.907 -5.935 -0.727
-7.739 -13.263 0.166
-5.633 -6.892 5.953
-3.016 -11.483 -7.384
-4.872 -3.528 0.279
-5.682 -13.201 3.067
-1.168 -2.877 -0.428
-7.677 -7.968 1.095
-2.310 -6.626 -4.118
-3.066 -5.019 1.078
-6.478 -10.941 1.803
-2.153 -10.989 -4.443
-5.155 -13.947 -3.941
-10.186 -11.665 -1.796
-6.234 -6.836 3.035
-7.070 -7.389 -2.878
-9.079 -5.820 -4.780
-9.815 -10.784 1.157
-5.944 -2.072 2.863
-6.729 -3.030 -7.794
-6.836 -5.125 -6.063
-4.898 -5.776 -4.189
-11.454 -5.582 -1.342
-7.375 -7.907 -6.288
-11.124 -7.076 1.612
-2.744 -1.624 -3.624
-4.678 -6.265 -7.597
-7.101 -3.624 5.033
-9.050 -5.454 1.344
-11.868 -4.036 0.787
-0.568 -8.968 -0.353
-7.965 -3.007 0.913
-7.763 -13.144 -3.000
-9.657 -8.023 -1.687
-4.540 -8.331 -2.120
-8.920 -6.617 4.198
-0.526 -5.792 -1.162
```

Properties
Total moment = 0.00 μB per formula unit
Crystal system = triclinic
E_tot = -0.20048 Ha/atom
SG = P1, No. 1
ΔE_f = 9 kJ/mol of formula units

---

Material: GaN
Method: DFT, GGA-PBE
State: relaxed

Structure (POSCAR):
```
GaN
1.0
-0.634 -4.599 11.585
2.290 -9.754 -3.541
10.596 1.868 1.218
N Ga
50 50
Cartesian
10.900 -9.644 4.875
11.002 -5.015 2.565
7.574 -8.688 -2.589
9.439 -4.480 7.910
6.233 -8.307 1.378
9.558 -12.280 8.372
7.165 -3.620 12.187
2.565 -12.838 8.308
2.442 -2.423 5.139
10.052 -6.362 5.280
3.712 -1.360 1.412
7.297 -8.628 -1.484
7.109 -5.574 1.761
6.046 -8.368 8.214
11.634 -8.860 7.771
9.923 -1.656 2.767
5.381 -11.288 7.394
3.567 -7.595 10.485
6.937 -2.776 8.841
7.721 -5.736 10.090
10.290 -2.675 5.113
7.408 -5.476 4.992
3.032 -6.488 -1.090
1.970 -7.516 7.817
4.871 -5.518 8.363
12.003 -8.423 -0.615
11.130 -2.524 0.061
8.462 -9.671 3.980
6.675 -6.686 4.874
8.554 -10.392 2.921
6.313 -9.232 4.452
8.966 -4.126 -0.212
9.820 -2.831 10.774
2.991 -5.810 -0.109
5.722 -10.318 4.142
2.406 -4.017 2.088
1.331 -3.530 -0.653
1.737 -4.895 7.063
3.244 -12.206 4.982
2.625 -9.127 4.568
8.699 -9.031 6.627
3.462 -0.924 2.429
3.007 -9.190 0.986
6.897 -2.175 1.445
9.555 -2.638 2.281
8.722 0.756 2.873
8.192 -6.392 2.332
4.691 -4.701 4.059
3.509 -9.162 5.677
9.538 -3.517 5.012
10.557 -4.133 0.943
4.369 -8.799 9.162
12.193 -5.910 -0.845
4.528 -10.833 5.624
9.946 -9.866 1.386
6.869 -8.255 6.321
6.694 -10.245 8.603
9.252 -10.652 5.661
4.258 -7.985 1.742
1.129 -4.568 8.871
7.443 -2.593 6.846
1.747 -10.813 4.629
6.384 -5.638 11.523
3.911 -4.105 0.566
1.107 -3.159 6.435
4.649 -6.389 5.099
1.198 -2.601 1.407
2.396 -9.351 7.307
9.398 -7.383 0.965
6.308 -3.823 4.879
9.279 -5.483 3.722
7.220 -9.931 0.866
3.074 -3.718 3.872
3.366 -6.104 7.175
5.139 -5.460 2.274
0.711 -6.511 6.524
11.823 -6.756 1.763
1.716 -12.563 6.579
5.083 -3.506 8.133
7.009 -7.809 3.193
1.922 -6.032 2.352
3.388 -10.999 0.396
9.351 -0.763 6.812
9.776 -8.535 8.209
4.104 -1.898 6.235
4.286 -5.721 10.282
0.359 -5.091 11.446
8.546 -3.908 9.499
7.562 -3.846 1.030
8.560 -5.665 6.691
6.722 -1.864 3.314
9.208 -5.854 -1.196
6.667 -6.414 8.384
1.804 -7.045 9.715
9.635 -8.181 4.963
3.671 -3.249 10.313
3.794 -11.277 8.706
9.008 -7.221 10.213
1.414 -7.573 4.436
6.730 -6.793 0.018
```

Properties
Total moment = 0.00 μB per formula unit
Crystal system = triclinic
E_tot = -0.20088 Ha/atom
SG = P1, No. 1
ΔE_f = 7 kJ/mol of formula units

---

Material: GaN
Method: DFT, GGA-PBE
State: relaxed

Structure (POSCAR):
```
GaN
1.0
11.740 -0.784 -0.314
-0.784 11.023 -0.240
-0.315 -0.253 12.049
Ga N
50 50
Cartesian
10.015 8.549 6.741
5.002 9.835 6.111
2.605 8.596 7.111
0.765 8.521 5.497
9.903 4.049 7.683
0.700 4.637 5.610
2.054 1.941 2.292
4.557 1.482 4.335
1.965 9.468 2.765
5.948 1.416 9.143
1.199 6.094 8.584
0.210 6.384 3.408
0.728 0.826 5.466
9.233 1.160 11.556
4.353 7.531 4.416
-0.807 10.853 1.570
5.556 10.360 2.669
9.648 6.749 0.419
8.297 2.952 5.076
6.739 2.502 11.236
7.726 5.848 7.276
7.338 9.179 7.827
5.890 4.305 8.969
3.186 4.602 3.107
11.260 3.310 0.493
1.479 5.690 1.347
10.351 5.593 5.240
10.453 8.320 3.389
9.337 7.140 9.410
2.700 10.406 0.477
3.226 6.169 10.201
7.706 1.598 7.260
3.141 7.729 0.998
5.608 8.399 0.905
5.412 6.972 7.805
11.039 1.998 3.286
3.206 0.297 6.079
8.305 4.349 10.640
5.457 1.977 1.950
0.586 0.283 8.122
-0.062 9.113 9.293
8.128 9.063 0.492
8.447 3.674 1.714
6.414 -0.138 11.811
2.605 8.727 10.366
4.437 9.987 9.176
8.892 -0.127 5.257
6.155 7.507 10.553
10.684 1.258 6.654
8.698 0.492 2.633
5.906 8.624 8.910
3.451 10.380 7.195
7.867 7.256 3.885
3.751 2.693 2.709
9.116 2.583 3.173
3.426 5.412 6.964
6.317 3.955 4.506
5.472 4.553 4.968
0.121 6.206 11.213
9.829 8.384 1.468
10.492 7.535 5.216
4.404 7.905 6.430
0.968 3.113 10.238
9.546 2.176 7.821
8.545 7.691 7.635
2.158 2.936 7.832
-0.043 3.587 10.331
5.294 0.132 1.220
8.997 5.203 9.032
3.217 1.255 10.165
5.068 6.030 9.594
4.447 9.766 4.204
8.193 7.417 11.041
4.495 3.779 -0.166
0.581 8.432 3.581
3.136 10.368 4.052
2.982 5.344 5.915
10.706 0.022 2.886
6.835 5.511 2.243
-0.098 5.505 7.272
9.431 4.843 0.471
6.828 2.954 1.081
4.071 4.824 -0.143
8.823 4.707 6.025
10.064 0.211 9.500
-0.686 6.999 11.433
6.993 7.802 4.336
1.507 8.071 8.738
5.774 5.880 2.128
2.983 1.157 11.259
0.611 3.153 2.247
11.267 -0.284 11.656
3.242 2.709 7.654
8.634 0.004 0.634
9.518 -0.673 9.012
0.364 0.385 11.178
11.043 -0.801 4.037
0.024 2.751 5.424
1.917 0.034 1.948
7.606 -0.588 6.699
```

Properties
Total moment = 0.00 μB per formula unit
Crystal system = triclinic
E_tot = -0.20113 Ha/atom
SG = P1, No. 1
ΔE_f = 6 kJ/mol of formula units

---

Material: GaN
Method: DFT, GGA-PBE
State: relaxed

Structure (POSCAR):
```
GaN
1.0
-4.256 -1.773 -3.471
-0.769 -1.979 1.953
-3.113 3.309 2.127
Ga N
4 4
Cartesian
-5.804 0.922 1.848
-2.798 0.702 0.673
-4.926 -0.184 -1.062
-3.675 1.809 3.583
-6.154 1.118 -0.222
-1.789 -0.194 2.293
-3.917 -1.081 0.558
-4.026 2.005 1.513
```

Properties
Total moment = 0.00 μB per formula unit
E_tot = -0.21068 Ha/atom
ΔE_f = -45 kJ/mol of formula units

---

Material: GaN
Method: DFT, GGA-PBE
State: relaxed

Structure (POSCAR):
```
GaN
1.0
0.144 11.562 0.235
-11.058 -0.756 -3.017
-3.381 -0.500 10.868
Ga N
50 50
Cartesian
-3.030 5.614 8.998
-9.476 5.278 8.688
-11.186 10.272 8.082
-8.213 6.739 4.548
-6.814 0.536 1.642
-10.150 0.860 2.620
-12.541 4.997 3.288
-2.628 8.030 6.742
-11.751 6.187 8.525
-2.772 8.172 4.038
-5.958 8.065 4.391
-9.419 -0.029 6.747
-0.992 7.255 -0.058
-4.544 5.680 5.951
-3.618 10.193 5.755
-9.684 4.193 2.580
-5.120 8.031 7.543
-7.882 3.958 -1.299
-1.170 6.598 3.202
-4.720 10.495 0.208
-2.550 3.046 6.666
-10.063 9.270 -1.727
-4.479 10.346 2.860
-8.061 2.967 1.045
-6.584 10.861 4.784
-7.541 9.154 6.997
-7.803 6.872 9.494
-3.272 1.019 3.863
-5.504 1.830 -1.055
-10.576 5.360 5.765
-12.962 7.628 6.220
-4.317 2.357 1.197
-2.288 10.762 1.508
-10.262 8.042 7.122
-12.292 1.409 7.752
-4.458 7.820 1.274
-9.398 9.229 4.404
-12.013 2.109 1.197
-4.810 9.618 9.889
-1.034 1.572 1.520
-7.958 9.668 2.147
-9.547 2.723 7.352
-9.304 0.591 -0.582
-2.691 5.238 0.986
-11.134 10.566 1.364
-7.136 5.640 6.577
-7.389 9.032 -0.165
-10.483 3.924 -0.884
-11.235 2.347 4.591
-3.690 4.323 3.844
-1.968 10.964 4.466
-7.019 3.923 9.408
-10.179 7.340 2.198
-2.876 1.110 1.889
-12.353 5.691 6.645
-6.496 0.094 -0.379
-3.889 0.546 10.396
-13.258 -0.575 4.237
-7.735 8.320 3.553
-5.209 1.401 7.669
-6.944 4.587 3.484
-7.738 -0.422 9.162
-5.401 8.689 -0.193
-3.103 6.989 0.152
-0.870 5.909 1.425
-6.174 3.911 3.959
-5.823 9.254 5.941
-6.331 6.260 1.321
-3.715 3.464 9.952
-9.880 7.429 5.305
-9.806 10.315 2.789
-8.773 8.051 -1.076
-4.545 8.301 3.093
-5.912 0.914 6.951
-8.314 2.100 4.968
-12.269 -0.939 4.632
-13.945 0.148 6.873
-10.868 4.712 1.026
-12.169 4.095 1.496
-7.045 7.390 7.779
-7.367 1.611 4.585
-10.802 -0.765 -0.814
-10.863 4.369 4.118
-4.793 -0.192 4.306
-3.348 8.548 10.741
-2.366 10.035 3.438
-11.266 2.398 6.499
-3.801 4.092 1.929
-7.779 10.757 8.247
-10.576 7.672 1.202
-3.104 4.894 7.158
-8.416 10.378 5.642
-6.622 3.681 8.382
-11.110 2.127 -0.582
-8.718 1.138 1.240
-7.418 10.994 -0.765
-9.035 4.640 6.858
-2.951 2.687 4.735
-4.652 3.178 10.536
-7.375 5.965 1.026
```

Properties
Total moment = 0.00 μB per formula unit
Crystal system = triclinic
E_tot = -0.20140 Ha/atom
SG = P1, No. 1
ΔE_f = 4 kJ/mol of formula units